Record 1
Here is a relaxed structure of SrTlO3 from Materials Project. Energies are from GGA-PBE.

Lattice parameters (Å, degrees): 4.280 4.280 4.280 90.00 90.00 90.00
Element x y z (fractional)
O 0.500 0.500 0.000
O 0.500 0.000 0.500
O 0.000 0.500 0.500
Sr 0.000 0.000 0.000
Tl 0.500 0.500 0.500

Results
DFT formation energy, meV per atom: -1627
Total moment, Bohr magnetons per cell: 0.001
Mass density, g/cm3: 7.20

=====

Record 2
Here is a relaxed structure of SrInPt from Materials Project. Energies are from GGA-PBE.

Lattice parameters (Å, degrees): 4.569 7.662 8.625 90.00 90.00 90.00
Element x y z (fractional)
Sr 0.750 0.470 0.821
Sr 0.250 0.030 0.321
Sr 0.750 0.970 0.679
Sr 0.250 0.530 0.179
Pt 0.250 0.778 0.879
Pt 0.250 0.278 0.621
Pt 0.750 0.222 0.121
Pt 0.750 0.722 0.379
In 0.250 0.647 0.565
In 0.250 0.147 0.935
In 0.750 0.353 0.435
In 0.750 0.853 0.065

Results
DFT formation energy, meV per atom: -765
Mass density, g/cm3: 8.75